1.
Density functional theory data (PBE-GGA) for a relaxed Na3TaSi3SnO12 crystal.

Structure (POSCAR):
```
Na3TaSi3SnO12
1.0
9.064 -0.001 -0.011
-4.533 7.851 0.000
-0.028 -0.016 22.463
O Si Na Sn Ta
72 18 18 6 6
direct
0.359 0.862 0.858 O
0.295 0.454 0.476 O
0.504 0.354 0.422 O
0.191 0.155 0.089 O
0.298 0.823 0.256 O
0.971 0.185 0.313 O
0.476 0.303 0.745 O
0.636 0.144 0.422 O
0.518 0.828 0.756 O
0.362 0.856 0.579 O
0.168 0.186 0.412 O
0.494 0.637 0.862 O
0.028 0.839 0.411 O
0.833 0.304 0.526 O
0.165 0.198 0.692 O
0.838 0.815 0.589 O
0.620 0.500 0.640 O
0.476 0.173 0.245 O
0.859 0.370 0.922 O
0.838 0.023 0.089 O
0.168 0.982 0.912 O
0.362 0.505 0.079 O
0.971 0.159 0.588 O
0.491 0.120 0.643 O
0.154 0.494 0.579 O
0.359 0.497 0.358 O
0.175 0.698 0.755 O
0.839 0.325 0.246 O
0.501 0.853 0.078 O
0.470 0.302 0.026 O
0.878 0.516 0.145 O
0.213 0.175 0.810 O
0.494 0.857 0.362 O
0.470 0.168 0.526 O
0.028 0.189 0.911 O
0.491 0.371 0.143 O
0.165 0.967 0.192 O
0.295 0.842 0.976 O
0.971 0.786 0.813 O
0.191 0.036 0.589 O
0.028 0.839 0.695 O
0.620 0.120 0.140 O
0.820 0.828 0.913 O
0.166 0.709 0.473 O
0.833 0.529 0.026 O
0.501 0.648 0.578 O
0.548 0.698 0.979 O
0.504 0.150 0.922 O
0.835 0.790 0.306 O
0.859 0.488 0.422 O
0.683 0.518 0.245 O
0.835 0.045 0.806 O
0.175 0.478 0.255 O
0.213 0.039 0.310 O
0.839 0.514 0.746 O
0.132 0.499 0.857 O
0.548 0.850 0.479 O
0.166 0.457 0.973 O
0.636 0.492 0.922 O
0.695 0.528 0.525 O
0.971 0.812 0.088 O
0.154 0.659 0.079 O
0.518 0.690 0.256 O
0.801 0.828 0.190 O
0.801 0.972 0.690 O
0.878 0.362 0.645 O
0.820 0.991 0.413 O
0.695 0.167 0.025 O
0.132 0.633 0.357 O
0.683 0.164 0.745 O
0.298 0.475 0.756 O
0.028 0.190 0.195 O
0.043 0.375 0.916 Si
0.376 0.041 0.584 Si
0.335 0.377 0.417 Si
0.376 0.335 0.084 Si
0.959 0.337 0.584 Si
0.959 0.622 0.084 Si
0.709 0.710 0.249 Si
0.292 0.291 0.750 Si
0.626 0.956 0.419 Si
0.292 0.001 0.250 Si
0.626 0.670 0.919 Si
0.668 0.043 0.083 Si
0.709 0.999 0.749 Si
0.997 0.707 0.752 Si
0.997 0.290 0.252 Si
0.668 0.625 0.583 Si
0.335 0.958 0.917 Si
0.043 0.668 0.416 Si
0.369 0.365 0.249 Na
0.991 0.631 0.249 Na
0.991 0.011 0.997 Na
0.329 0.030 0.416 Na
0.991 0.980 0.497 Na
0.991 0.360 0.749 Na
0.331 0.666 0.663 Na
0.971 0.675 0.915 Na
0.663 0.966 0.582 Na
0.667 0.335 0.830 Na
0.331 0.665 0.163 Na
0.305 0.964 0.082 Na
0.663 0.697 0.082 Na
0.971 0.296 0.415 Na
0.667 0.332 0.330 Na
0.329 0.299 0.916 Na
0.305 0.341 0.582 Na
0.369 0.004 0.749 Na
0.667 0.338 0.686 Sn
0.995 0.996 0.352 Sn
0.667 0.329 0.186 Sn
0.330 0.663 0.019 Sn
0.995 0.999 0.852 Sn
0.330 0.668 0.519 Sn
0.337 0.670 0.312 Ta
0.999 0.002 0.145 Ta
0.999 0.997 0.645 Ta
0.668 0.339 0.478 Ta
0.337 0.667 0.812 Ta
0.668 0.329 0.978 Ta
```

Summary:
SG   Cc, No. 9
Size of the total moment   0.0 μB per formula unit
MP2020-corrected energy   -7.64 eV/atom

---

2.
Density functional theory data (PBE-GGA) for a relaxed MgTi2 crystal.

Structure (POSCAR):
```
MgTi2
1.0
1.450 5.424 0.000
-1.450 5.424 0.000
0.000 2.003 7.161
Ti Mg
4 2
direct
0.963 0.963 0.836 Ti
0.693 0.693 0.871 Ti
0.037 0.037 0.164 Ti
0.307 0.307 0.129 Ti
0.635 0.635 0.478 Mg
0.365 0.365 0.522 Mg
```

Summary:
SG   C2/m, No. 12
Size of the total moment   0.0 μB per formula unit

---

3.
Density functional theory data (PBE-GGA) for a relaxed Ca2ScP3Pt7 crystal.

Structure (POSCAR):
```
Ca2ScP3Pt7
1.0
-2.034 2.034 13.756
2.034 -2.034 13.756
2.034 2.034 -13.756
Pt P Ca Sc
7 3 2 1
direct
0.073 0.573 0.500 Pt
0.793 0.793 0.000 Pt
0.000 0.000 0.000 Pt
0.574 0.074 0.500 Pt
0.427 0.927 0.500 Pt
0.926 0.426 0.500 Pt
0.207 0.207 0.000 Pt
0.250 0.750 0.500 P
0.877 0.877 0.000 P
0.123 0.123 0.000 P
0.333 0.333 0.000 Ca
0.667 0.667 0.000 Ca
0.500 0.500 0.000 Sc
```

Summary:
SG   I-4m2, No. 119
Size of the total moment   0.0 μB per formula unit

---

E_tot, respectively: -867.23, -34.41, -82.61 eV/cell.
Formation energy from the elements, respectively: -2.865, 0.062, -1.040 eV/atom.